[1]
A relaxed NaMg6W crystal, computed with PBE.

a b c (Å): 4.425 8.729 8.775
angles (deg): 90.00 90.00 90.00
Fractional positions:
Mg: 0.000 0.272 0.876
Na: 0.500 0.000 0.871
Mg: 0.000 0.000 0.143
Mg: 0.000 0.000 0.607
Mg: 0.500 0.247 0.126
W: 0.500 0.500 0.877
Mg: 0.000 0.500 0.643
Mg: 0.000 0.500 0.107
Mg: 0.500 0.747 0.626
Mg: 0.000 0.228 0.376
Na: 0.500 0.500 0.371
Mg: 0.500 0.253 0.626
Mg: 0.500 0.753 0.126
Mg: 0.000 0.772 0.376
Mg: 0.000 0.728 0.876
W: 0.500 0.000 0.377

Computed properties:
* energy of formation: 302 meV/atom
* ΔE to the lowest computed polymorph: 0.02 eV per formula unit
* total magnetization: 0.01 μB/cell

[2]
A relaxed Cs4Nb2S11 crystal, computed with PBE.

a b c (Å): 14.245 8.243 18.757
angles (deg): 90.00 90.00 90.00
Fractional positions:
S: 0.037 0.242 0.300
S: 0.315 0.766 0.962
S: 0.603 0.944 0.578
S: 0.816 0.482 0.314
S: 0.252 0.916 0.733
S: 0.963 0.758 0.800
S: 0.760 0.251 0.151
S: 0.036 0.552 0.658
Cs: 0.048 0.700 0.303
Cs: 0.714 0.689 0.157
S: 0.026 0.956 0.662
S: 0.463 0.242 0.800
S: 0.397 0.056 0.078
S: 0.536 0.448 0.658
Nb: 0.571 0.237 0.564
S: 0.563 0.092 0.846
Cs: 0.952 0.300 0.803
S: 0.526 0.044 0.662
S: 0.752 0.084 0.733
S: 0.184 0.518 0.814
Nb: 0.122 0.721 0.749
Cs: 0.763 0.838 0.909
Nb: 0.622 0.279 0.749
S: 0.436 0.249 0.501
S: 0.260 0.749 0.151
Cs: 0.786 0.689 0.657
S: 0.964 0.448 0.158
Cs: 0.263 0.162 0.909
Cs: 0.452 0.700 0.803
S: 0.974 0.044 0.162
S: 0.937 0.092 0.346
Nb: 0.929 0.237 0.064
S: 0.248 0.916 0.233
Nb: 0.878 0.279 0.249
S: 0.437 0.908 0.346
S: 0.897 0.944 0.078
Cs: 0.423 0.678 0.505
Cs: 0.923 0.322 0.505
S: 0.064 0.249 0.001
S: 0.240 0.749 0.651
S: 0.936 0.751 0.501
S: 0.464 0.552 0.158
S: 0.063 0.908 0.846
S: 0.564 0.751 0.001
S: 0.832 0.456 0.012
Nb: 0.071 0.763 0.564
Nb: 0.429 0.763 0.064
S: 0.537 0.758 0.300
S: 0.185 0.766 0.462
Nb: 0.378 0.721 0.249
S: 0.668 0.456 0.512
S: 0.685 0.234 0.462
S: 0.684 0.482 0.814
S: 0.316 0.518 0.314
Cs: 0.737 0.838 0.409
Cs: 0.286 0.311 0.657
Cs: 0.214 0.311 0.157
Cs: 0.577 0.322 0.005
S: 0.474 0.956 0.162
Cs: 0.237 0.162 0.409
Cs: 0.077 0.678 0.005
S: 0.168 0.544 0.512
S: 0.103 0.056 0.578
S: 0.740 0.251 0.651
Cs: 0.548 0.300 0.303
S: 0.815 0.234 0.962
S: 0.748 0.084 0.233
S: 0.332 0.544 0.012

Computed properties:
* energy of formation: -1252 meV/atom
* total magnetization: 0.15 μB/cell

[3]
A relaxed Ti2ZnO4 crystal, computed with PBE.

a b c (Å): 5.985 5.985 15.097
angles (deg): 90.00 90.00 120.00
Fractional positions:
O: 0.181 0.819 0.584
Zn: 0.667 0.333 0.695
Ti: 0.014 0.507 0.501
O: 0.667 0.333 0.568
O: 0.497 0.503 0.750
O: 0.990 0.495 0.249
O: 0.352 0.176 0.427
O: 0.333 0.667 0.415
Ti: 0.825 0.175 0.165
O: 0.000 0.000 0.763
Zn: 0.667 0.333 0.340
Ti: 0.493 0.986 0.501
O: 0.505 0.495 0.249
O: 0.000 0.000 0.240
Ti: 0.825 0.650 0.165
Ti: 0.642 0.821 0.829
O: 0.688 0.844 0.093
Ti: 0.179 0.358 0.829
O: 0.321 0.160 0.911
Ti: 0.667 0.333 0.949
Zn: 0.000 0.000 0.002
O: 0.007 0.503 0.750
O: 0.840 0.679 0.911
O: 0.156 0.844 0.093
Zn: 0.333 0.667 0.045
Ti: 0.333 0.667 0.289
O: 0.333 0.667 0.914
Ti: 0.493 0.507 0.501
O: 0.667 0.333 0.073
O: 0.824 0.176 0.427
O: 0.638 0.819 0.584
O: 0.840 0.160 0.911
O: 0.181 0.362 0.584
Ti: 0.350 0.175 0.165
Ti: 0.333 0.667 0.677
Zn: 0.000 0.000 0.631
O: 0.824 0.648 0.427
O: 0.497 0.993 0.750
O: 0.156 0.312 0.093
O: 0.505 0.010 0.249
Zn: 0.000 0.000 0.373
Ti: 0.179 0.821 0.829

Computed properties:
* energy of formation: -2832 meV/atom
* ΔE to the lowest computed polymorph: 0.24 eV per formula unit
* total magnetization: 5.99 μB/cell

[4]
A relaxed Sr crystal, computed with PBE.

a b c (Å): 6.732 6.732 6.732
angles (deg): 106.34 106.34 115.93
Fractional positions:
Sr: 0.330 0.830 0.160
Sr: 0.670 0.170 0.840
Sr: 0.170 0.330 0.500
Sr: 0.830 0.670 0.500

Computed properties:
* energy of formation: 148 meV/atom
* ΔE to the lowest computed polymorph: 0.15 eV per formula unit

[5]
A relaxed PW6Cl17 crystal, computed with PBE.

a b c (Å): 10.306 10.306 10.306
angles (deg): 141.08 119.15 74.62
Fractional positions:
W: 0.621 0.298 0.919
Cl: 0.466 0.000 0.466
Cl: 0.738 0.405 0.853
Cl: 0.764 0.616 0.684
P: 0.818 0.500 0.318
Cl: 0.134 0.256 0.390
Cl: 0.431 0.500 0.931
W: 0.094 0.579 0.514
Cl: 0.448 0.115 0.853
Cl: 0.761 0.000 0.761
Cl: 0.046 0.783 0.263
W: 0.621 0.702 0.324
Cl: 0.764 0.080 0.148
Cl: 0.448 0.595 0.332
Cl: 0.068 0.384 0.148
Cl: 0.017 0.329 0.688
W: 0.935 0.421 0.514
Cl: 0.738 0.885 0.332
Cl: 0.068 0.920 0.684
Cl: 0.479 0.217 0.263
W: 0.903 0.641 0.262
W: 0.621 0.359 0.262
Cl: 0.359 0.671 0.688
Cl: 0.134 0.744 0.879

Computed properties:
* energy of formation: -1212 meV/atom
* total magnetization: 0.00 μB/cell

[6]
A relaxed Ce3Se4 crystal, computed with PBE.

a b c (Å): 7.718 7.718 7.718
angles (deg): 109.47 109.47 109.47
Fractional positions:
Ce: 0.875 0.250 0.125
Ce: 0.125 0.875 0.250
Ce: 0.375 0.625 0.750
Se: 0.500 0.000 0.151
Se: 0.651 0.500 0.000
Se: 0.349 0.349 0.349
Se: 0.000 0.651 0.500
Se: 0.500 0.000 0.651
Ce: 0.625 0.750 0.375
Ce: 0.250 0.125 0.875
Se: 0.000 0.151 0.500
Se: 0.151 0.500 0.000
Se: 0.849 0.849 0.849
Ce: 0.750 0.375 0.625

Computed properties:
* energy of formation: -2114 meV/atom

[7]
A relaxed NbSeBr3 crystal, computed with PBE.

a b c (Å): 7.503 7.148 12.811
angles (deg): 81.83 90.00 90.00
Fractional positions:
Br: 0.566 0.765 0.304
Se: 0.880 0.849 0.798
Br: 0.768 0.652 0.578
Br: 0.434 0.765 0.804
Br: 0.566 0.235 0.196
Br: 0.768 0.348 0.922
Se: 0.120 0.151 0.202
Br: 0.232 0.348 0.422
Nb: 0.372 0.931 0.150
Br: 0.434 0.235 0.696
Se: 0.120 0.849 0.298
Nb: 0.372 0.069 0.350
Nb: 0.628 0.069 0.850
Br: 0.675 0.856 0.038
Br: 0.325 0.144 0.962
Br: 0.325 0.856 0.538
Br: 0.675 0.144 0.462
Br: 0.232 0.652 0.078
Nb: 0.628 0.931 0.650
Se: 0.880 0.151 0.702

Computed properties:
* energy of formation: -1167 meV/atom

[8]
A relaxed PmMgAg2 crystal, computed with PBE.

a b c (Å): 5.045 5.045 5.045
angles (deg): 60.00 60.00 60.00
Fractional positions:
Ag: 0.250 0.250 0.250
Mg: 0.500 0.500 0.500
Ag: 0.750 0.750 0.750
Pm: 0.000 0.000 0.000

Computed properties:
* energy of formation: -302 meV/atom

[9]
A relaxed ClF3 crystal, computed with PBE.

a b c (Å): 4.468 8.160 14.846
angles (deg): 83.79 90.00 90.00
Fractional positions:
F: 0.501 0.942 0.828
F: 0.712 0.431 0.947
Cl: 0.041 0.794 0.410
F: 0.679 0.290 0.657
F: 0.242 0.339 0.289
F: 0.179 0.710 0.843
F: 0.788 0.431 0.447
F: 0.742 0.661 0.211
F: 0.371 0.798 0.626
F: 0.758 0.661 0.711
F: 0.999 0.942 0.328
Cl: 0.005 0.609 0.133
F: 0.740 0.883 0.970
Cl: 0.995 0.391 0.867
F: 0.001 0.058 0.672
F: 0.821 0.290 0.157
F: 0.288 0.569 0.053
F: 0.760 0.883 0.470
Cl: 0.459 0.794 0.910
F: 0.258 0.339 0.789
F: 0.499 0.058 0.172
F: 0.629 0.202 0.374
F: 0.260 0.117 0.030
Cl: 0.495 0.609 0.633
F: 0.129 0.798 0.126
Cl: 0.505 0.391 0.367
Cl: 0.541 0.206 0.090
F: 0.871 0.202 0.874
F: 0.240 0.117 0.530
F: 0.212 0.569 0.553
F: 0.321 0.710 0.343
Cl: 0.959 0.206 0.590

Computed properties:
* energy of formation: -959 meV/atom

[10]
A relaxed SiO2 crystal, computed with PBE.

a b c (Å): 8.296 5.168 9.565
angles (deg): 59.93 90.00 90.00
Fractional positions:
Si: 0.605 0.712 0.751
O: 0.793 0.572 0.418
O: 0.584 0.266 0.215
Si: 0.253 0.653 0.893
O: 0.707 0.572 0.918
O: 0.916 0.266 0.715
O: 0.207 0.428 0.582
O: 0.174 0.956 0.874
Si: 0.753 0.347 0.607
O: 0.623 0.503 0.669
O: 0.293 0.428 0.082
Si: 0.247 0.653 0.393
Si: 0.105 0.288 0.749
Si: 0.747 0.347 0.107
Si: 0.395 0.288 0.249
O: 0.416 0.734 0.785
O: 0.123 0.497 0.831
O: 0.377 0.497 0.331
O: 0.084 0.734 0.285
Si: 0.895 0.712 0.251
O: 0.326 0.956 0.374
O: 0.877 0.503 0.169
O: 0.674 0.044 0.626
O: 0.826 0.044 0.126

Computed properties:
* energy of formation: -3258 meV/atom

[11]
A relaxed PrCu3Pd2 crystal, computed with PBE.

a b c (Å): 5.207 5.207 5.207
angles (deg): 122.16 116.45 91.27
Fractional positions:
Cu: 0.258 0.758 0.500
Pd: 0.127 0.375 0.752
Cu: 0.620 0.871 0.251
Cu: 0.620 0.369 0.749
Pr: 0.002 0.002 0.000
Pd: 0.623 0.375 0.248

Computed properties:
* energy of formation: -382 meV/atom
* total magnetization: 0.00 μB/cell

[12]
A relaxed CaErRh2 crystal, computed with PBE.

a b c (Å): 4.815 4.815 4.815
angles (deg): 60.00 60.00 60.00
Fractional positions:
Er: 0.000 0.000 0.000
Rh: 0.750 0.750 0.750
Ca: 0.500 0.500 0.500
Rh: 0.250 0.250 0.250

Computed properties:
* energy of formation: -644 meV/atom

[13]
A relaxed Li14Fe2S9 crystal, computed with PBE.

a b c (Å): 7.067 7.067 9.860
angles (deg): 90.00 90.00 120.00
Fractional positions:
S: 0.000 0.000 0.000
Li: 0.324 0.964 0.591
S: 0.667 0.333 0.982
Li: 0.676 0.036 0.409
S: 0.341 0.309 0.663
Li: 0.640 0.676 0.591
Li: 0.036 0.360 0.591
Li: 0.000 0.000 0.749
Li: 0.016 0.672 0.909
S: 0.691 0.033 0.663
S: 0.309 0.967 0.337
Li: 0.656 0.984 0.909
S: 0.967 0.659 0.663
Fe: 0.333 0.667 0.256
Li: 0.964 0.640 0.409
Li: 0.672 0.656 0.091
Li: 0.360 0.324 0.409
S: 0.033 0.341 0.337
Fe: 0.667 0.333 0.744
S: 0.659 0.691 0.337
S: 0.333 0.667 0.018
Li: 0.344 0.016 0.091
Li: 0.000 0.000 0.251
Li: 0.328 0.344 0.909
Li: 0.984 0.328 0.091

Computed properties:
* energy of formation: -1317 meV/atom
* total magnetization: 8.00 μB/cell

[14]
A relaxed Y2HfO5 crystal, computed with PBE.

a b c (Å): 7.234 6.512 9.688
angles (deg): 75.27 90.00 90.00
Fractional positions:
Y: 0.137 0.471 0.853
O: 0.106 0.771 0.935
O: 0.910 0.836 0.224
Y: 0.376 0.761 0.531
O: 0.823 0.611 0.848
Y: 0.124 0.261 0.531
O: 0.112 0.575 0.610
Hf: 0.389 0.561 0.189
O: 0.888 0.425 0.390
Y: 0.876 0.739 0.469
O: 0.177 0.389 0.152
O: 0.410 0.664 0.776
Hf: 0.889 0.939 0.811
O: 0.137 0.995 0.398
Hf: 0.111 0.061 0.189
O: 0.363 0.495 0.398
Y: 0.863 0.529 0.147
O: 0.606 0.729 0.065
O: 0.637 0.505 0.602
O: 0.394 0.271 0.935
O: 0.323 0.889 0.152
O: 0.863 0.005 0.602
Y: 0.624 0.239 0.469
O: 0.612 0.925 0.390
O: 0.677 0.111 0.848
O: 0.894 0.229 0.065
O: 0.590 0.336 0.224
Y: 0.363 0.971 0.853
O: 0.388 0.075 0.610
O: 0.090 0.164 0.776
Hf: 0.611 0.439 0.811
Y: 0.637 0.029 0.147

Computed properties:
* energy of formation: -3917 meV/atom
* ΔE to the lowest computed polymorph: 0.57 eV per formula unit
* total magnetization: 0.00 μB/cell